A geometry-optimized PrBO3 structure. Source: Materials Project, functional r²SCAN.

Lattice parameters (Å, degrees): 5.775 5.074 8.167 90.00 90.00 90.00
Space group Pnma (No. 62)
Asymmetric unit:
Pr: 0.242 0.250 0.085 (multiplicity 4)
B: 0.085 0.250 0.738 (multiplicity 4)
O: 0.089 0.016 0.824 (multiplicity 8)
O: 0.100 0.250 0.571 (multiplicity 4)

Results
For the formation energy from the elements, the calculation gives -3.30 eV per atom. Its total magnetic moment is 0.00 μB per atom. For the total energy, the calculation gives -71.17 eV per formula unit.



A geometry-optimized Rb5B19O31 structure. Source: Materials Project, functional r²SCAN.

Lattice parameters (Å, degrees): 18.241 11.522 13.305 90.00 95.61 90.00
Space group C2/c (No. 15)
Asymmetric unit:
Rb: 0.000 0.000 0.000 (multiplicity 4)
Rb: 0.165 0.439 0.186 (multiplicity 8)
Rb: 0.175 0.235 0.670 (multiplicity 8)
B: 0.000 0.388 0.750 (multiplicity 4)
B: 0.016 0.455 0.381 (multiplicity 8)
B: 0.017 0.303 0.503 (multiplicity 8)
B: 0.067 0.028 0.243 (multiplicity 8)
B: 0.072 0.248 0.868 (multiplicity 8)
B: 0.132 0.346 0.427 (multiplicity 8)
B: 0.151 0.178 0.303 (multiplicity 8)
B: 0.168 0.124 0.966 (multiplicity 8)
B: 0.174 0.069 0.147 (multiplicity 8)
B: 0.242 0.482 0.470 (multiplicity 8)
O: 0.000 0.027 0.750 (multiplicity 4)
O: 0.019 0.234 0.933 (multiplicity 8)
O: 0.021 0.389 0.052 (multiplicity 8)
O: 0.024 0.459 0.668 (multiplicity 8)
O: 0.064 0.315 0.785 (multiplicity 8)
O: 0.085 0.117 0.311 (multiplicity 8)
O: 0.086 0.429 0.365 (multiplicity 8)
O: 0.088 0.277 0.491 (multiplicity 8)
O: 0.111 0.005 0.672 (multiplicity 8)
O: 0.136 0.181 0.882 (multiplicity 8)
O: 0.146 0.140 0.059 (multiplicity 8)
O: 0.171 0.271 0.360 (multiplicity 8)
O: 0.188 0.410 0.494 (multiplicity 8)
O: 0.197 0.145 0.232 (multiplicity 8)
O: 0.224 0.047 0.950 (multiplicity 8)
O: 0.235 0.007 0.624 (multiplicity 8)

Results
For the formation energy from the elements, the calculation gives -2.60 eV per atom. Its total magnetic moment is 0.00 μB per atom. For the total energy, the calculation gives -537.43 eV per formula unit.